{
  "formula": "KPu",
  "functional": "GGA-PBE",
  "state": "optimized geometry",
  "sg": "No. 148",
  "ef_ev_per_atom": 0.854,
  "m_tot_mub_per_atom": 3.49,
  "lattice_angstrom": [[7.068, 4.081, 3.140], [-7.068, 4.081, 3.140], [0.000, -8.162, 3.140]],
  "species": ["Pu", "Pu", "Pu", "Pu", "Pu", "Pu", "K", "K", "K", "K", "K", "K"],
  "frac_coords": [[0.318, 0.810, 0.959], [0.810, 0.959, 0.318], [0.190, 0.041, 0.682], [0.959, 0.318, 0.810], [0.682, 0.190, 0.041], [0.041, 0.682, 0.190], [0.601, 0.549, 0.849], [0.151, 0.399, 0.451], [0.549, 0.849, 0.601], [0.399, 0.451, 0.151], [0.849, 0.601, 0.549], [0.451, 0.151, 0.399]]
}

=====

{
  "formula": "K3Rb",
  "functional": "GGA-PBE",
  "state": "optimized geometry",
  "sg": "No. 139",
  "ef_ev_per_atom": 0.022,
  "lattice_angstrom": [[-4.780, -6.455, 2.851], [-6.685, 2.509, 4.654], [3.124, 2.197, -7.619]],
  "species": ["K", "K", "K", "Rb"],
  "frac_coords": [[0.750, 0.250, 0.500], [0.500, 0.500, 0.000], [0.250, 0.750, 0.500], [0.000, 0.000, 0.000]]
}

=====

{
  "formula": "K3Rb",
  "functional": "GGA-PBE",
  "state": "optimized geometry",
  "sg": "No. 194",
  "ef_ev_per_atom": 0.022,
  "lattice_angstrom": [[4.799, -8.312, 0.000], [4.799, 8.312, 0.000], [0.000, 0.000, 7.809]],
  "species": ["Rb", "Rb", "K", "K", "K", "K", "K", "K"],
  "frac_coords": [[0.333, 0.667, 0.750], [0.667, 0.333, 0.250], [0.165, 0.330, 0.250], [0.835, 0.670, 0.750], [0.330, 0.165, 0.750], [0.670, 0.835, 0.250], [0.165, 0.835, 0.250], [0.835, 0.165, 0.750]]
}

=====

{
  "formula": "KRb3",
  "functional": "GGA-PBE",
  "state": "optimized geometry",
  "sg": "No. 225",
  "ef_ev_per_atom": 0.018,
  "lattice_angstrom": [[0.000, 5.581, 5.581], [5.581, 0.000, 5.581], [5.581, 5.581, 0.000]],
  "species": ["Rb", "Rb", "Rb", "K"],
  "frac_coords": [[0.500, 0.500, 0.500], [0.250, 0.250, 0.250], [0.750, 0.750, 0.750], [0.000, 0.000, 0.000]]
}

=====

{
  "formula": "KRb3",
  "functional": "GGA-PBE",
  "state": "optimized geometry",
  "sg": "No. 194",
  "ef_ev_per_atom": 0.023,
  "lattice_angstrom": [[-5.788, 0.857, 8.214], [2.820, -9.120, -3.252], [6.484, 0.390, 4.528]],
  "species": ["Rb", "Rb", "Rb", "Rb", "Rb", "Rb", "K", "K"],
  "frac_coords": [[0.338, 0.169, 0.750], [0.662, 0.831, 0.250], [0.831, 0.662, 0.750], [0.169, 0.338, 0.250], [0.831, 0.169, 0.750], [0.169, 0.831, 0.250], [0.333, 0.667, 0.750], [0.667, 0.333, 0.250]]
}

=====

{
  "formula": "KRb3",
  "functional": "GGA-PBE",
  "state": "optimized geometry",
  "sg": "No. 139",
  "ef_ev_per_atom": 0.023,
  "lattice_angstrom": [[-3.434, 3.434, 7.371], [3.434, -3.434, 7.371], [3.434, 3.434, -7.371]],
  "species": ["Rb", "Rb", "Rb", "K"],
  "frac_coords": [[0.750, 0.250, 0.500], [0.250, 0.750, 0.500], [0.500, 0.500, 0.000], [0.000, 0.000, 0.000]]
}

=====

{
  "formula": "K3Rb",
  "functional": "GGA-PBE",
  "state": "optimized geometry",
  "sg": "No. 225",
  "ef_ev_per_atom": 0.016,
  "lattice_angstrom": [[0.000, 5.416, 5.416], [5.416, 0.000, 5.416], [5.416, 5.416, 0.000]],
  "species": ["K", "K", "K", "Rb"],
  "frac_coords": [[0.250, 0.250, 0.250], [0.500, 0.500, 0.500], [0.750, 0.750, 0.750], [0.000, 0.000, 0.000]]
}

=====

{
  "formula": "KRb3",
  "functional": "GGA-PBE",
  "state": "optimized geometry",
  "sg": "No. 221",
  "ef_ev_per_atom": 0.017,
  "lattice_angstrom": [[-6.932, 0.657, -0.891], [-0.955, -6.407, 2.703], [-0.561, 2.790, 6.417]],
  "species": ["Rb", "Rb", "Rb", "K"],
  "frac_coords": [[0.500, 0.000, 0.500], [0.000, 0.500, 0.500], [0.500, 0.500, 0.000], [0.000, 0.000, 0.000]]
}

=====

{
  "formula": "K2Rb2Re6S13",
  "functional": "GGA-PBE",
  "state": "optimized geometry",
  "sg": "No. 15",
  "energy_corrected_mp2020_ev_per_atom": -6.81,
  "ef_ev_per_atom": -1.045,
  "m_tot_mub_per_atom": 0.00,
  "lattice_angstrom": [[-4.347, -2.133, 8.426], [9.595, -1.381, -0.680], [3.453, 11.807, 6.261]],
  "species": ["S", "S", "S", "S", "S", "S", "S", "S", "S", "S", "S", "S", "S", "S", "S", "S", "S", "S", "S", "S", "S", "S", "S", "S", "S", "S", "Re", "Re", "Re", "Re", "Re", "Re", "Re", "Re", "Re", "Re", "Re", "Re", "K", "K", "K", "K", "Rb", "Rb", "Rb", "Rb"],
  "frac_coords": [[0.659, 0.008, 0.305], [0.716, 0.368, 0.674], [0.629, 0.371, 0.250], [0.371, 0.629, 0.750], [0.031, 0.963, 0.935], [0.449, 0.281, 0.495], [0.037, 0.969, 0.565], [0.810, 0.291, 0.450], [0.190, 0.709, 0.550], [0.969, 0.037, 0.065], [0.341, 0.992, 0.695], [0.281, 0.449, 0.995], [0.719, 0.551, 0.005], [0.992, 0.341, 0.195], [0.992, 0.300, 0.848], [0.300, 0.992, 0.348], [0.008, 0.700, 0.152], [0.632, 0.284, 0.826], [0.963, 0.031, 0.435], [0.551, 0.719, 0.505], [0.008, 0.659, 0.805], [0.284, 0.632, 0.326], [0.368, 0.716, 0.174], [0.709, 0.190, 0.050], [0.700, 0.008, 0.652], [0.291, 0.810, 0.950], [0.843, 0.440, 0.110], [0.993, 0.304, 0.024], [0.696, 0.007, 0.476], [0.157, 0.560, 0.890], [0.155, 0.582, 0.079], [0.007, 0.696, 0.976], [0.845, 0.418, 0.921], [0.440, 0.843, 0.610], [0.304, 0.993, 0.524], [0.418, 0.845, 0.421], [0.582, 0.155, 0.579], [0.560, 0.157, 0.390], [0.729, 0.685, 0.709], [0.315, 0.271, 0.791], [0.685, 0.729, 0.209], [0.271, 0.315, 0.291], [0.355, 0.119, 0.089], [0.645, 0.881, 0.911], [0.881, 0.645, 0.411], [0.119, 0.355, 0.589]]
}

=====

{
  "formula": "KRbS",
  "functional": "GGA-PBE",
  "state": "optimized geometry",
  "sg": "No. 62",
  "energy_corrected_mp2020_ev_per_atom": -3.26,
  "ef_ev_per_atom": -1.184,
  "lattice_angstrom": [[-4.763, 0.087, -1.681], [-2.784, -0.520, 7.860], [-0.043, 9.537, 0.615]],
  "species": ["K", "K", "K", "K", "S", "S", "S", "S", "Rb", "Rb", "Rb", "Rb"],
  "frac_coords": [[0.750, 0.647, 0.425], [0.250, 0.353, 0.575], [0.750, 0.147, 0.075], [0.250, 0.853, 0.925], [0.750, 0.263, 0.392], [0.250, 0.237, 0.892], [0.250, 0.737, 0.608], [0.750, 0.763, 0.108], [0.750, 0.522, 0.824], [0.250, 0.978, 0.324], [0.250, 0.478, 0.176], [0.750, 0.022, 0.676]]
}

=====

{
  "formula": "KRb5Zn4Sn5S17",
  "functional": "GGA-PBE",
  "state": "optimized geometry",
  "sg": "No. 1",
  "energy_corrected_mp2020_ev_per_atom": -4.25,
  "ef_ev_per_atom": -1.077,
  "lattice_angstrom": [[10.074, 0.000, 0.000], [-4.989, -9.969, 0.000], [-5.018, 0.022, -9.976]],
  "species": ["Sn", "Sn", "Sn", "Sn", "Sn", "S", "S", "S", "S", "S", "S", "S", "S", "S", "S", "S", "S", "S", "S", "S", "S", "S", "K", "Zn", "Zn", "Zn", "Zn", "Rb", "Rb", "Rb", "Rb", "Rb"],
  "frac_coords": [[0.502, 0.002, 0.003], [0.528, 0.276, 0.721], [0.747, 0.278, 0.279], [0.530, 0.722, 0.278], [0.193, 0.722, 0.721], [0.335, 0.493, 0.227], [0.756, 0.780, 0.221], [0.892, 0.225, 0.508], [0.616, 0.506, 0.774], [0.892, 0.507, 0.228], [0.490, 0.856, 0.857], [0.159, 0.775, 0.493], [0.780, 0.146, 0.146], [0.750, 0.499, 0.499], [0.365, 0.144, 0.855], [0.022, 0.778, 0.778], [0.334, 0.226, 0.492], [0.465, 0.220, 0.220], [0.757, 0.222, 0.779], [0.159, 0.493, 0.775], [0.617, 0.775, 0.509], [0.365, 0.855, 0.145], [0.249, 0.500, 0.499], [0.754, 0.636, 0.637], [0.478, 0.361, 0.361], [0.884, 0.363, 0.638], [0.883, 0.639, 0.362], [0.507, 0.498, 0.016], [0.993, 0.500, 0.987], [0.879, 0.959, 0.864], [0.993, 0.986, 0.495], [0.499, 0.016, 0.491]]
}

=====

{
  "formula": "K3Rb3Zn4Sn3Se13",
  "functional": "GGA-PBE",
  "state": "optimized geometry",
  "sg": "No. 160",
  "energy_corrected_mp2020_ev_per_atom": -3.70,
  "ef_ev_per_atom": -1.055,
  "m_tot_mub_per_atom": 0.00,
  "lattice_angstrom": [[0.817, 7.703, -6.348], [-6.249, -5.304, -5.754], [-7.182, 4.158, 5.606]],
  "species": ["Sn", "Sn", "Sn", "Rb", "Rb", "Rb", "K", "K", "K", "Se", "Se", "Se", "Se", "Se", "Se", "Se", "Se", "Se", "Se", "Se", "Se", "Se", "Zn", "Zn", "Zn", "Zn"],
  "frac_coords": [[0.122, 0.574, 0.122], [0.122, 0.122, 0.574], [0.574, 0.122, 0.122], [0.852, 0.304, 0.852], [0.852, 0.852, 0.304], [0.304, 0.852, 0.852], [0.516, 0.078, 0.516], [0.516, 0.516, 0.078], [0.078, 0.516, 0.516], [0.898, 0.470, 0.195], [0.313, 0.582, 0.313], [0.064, 0.806, 0.064], [0.064, 0.064, 0.806], [0.470, 0.195, 0.898], [0.806, 0.064, 0.064], [0.470, 0.898, 0.195], [0.181, 0.181, 0.181], [0.195, 0.470, 0.898], [0.582, 0.313, 0.313], [0.898, 0.195, 0.470], [0.313, 0.313, 0.582], [0.195, 0.898, 0.470], [0.338, 0.338, 0.338], [0.231, 0.944, 0.231], [0.944, 0.231, 0.231], [0.231, 0.231, 0.944]]
}

=====

{
  "formula": "K2Re3S6",
  "functional": "GGA-PBE",
  "state": "optimized geometry",
  "sg": "No. 15",
  "energy_corrected_mp2020_ev_per_atom": -6.92,
  "ef_ev_per_atom": -1.063,
  "lattice_angstrom": [[1.879, -2.647, -9.154], [6.661, -6.880, -1.625], [-8.400, -8.604, 0.498]],
  "species": ["Re", "Re", "Re", "Re", "Re", "Re", "Re", "Re", "Re", "Re", "Re", "Re", "S", "S", "S", "S", "S", "S", "S", "S", "S", "S", "S", "S", "S", "S", "S", "S", "S", "S", "S", "S", "S", "S", "S", "S", "K", "K", "K", "K", "K", "K", "K", "K"],
  "frac_coords": [[0.884, 0.531, 0.870], [0.003, 0.309, 0.025], [0.188, 0.397, 0.917], [0.691, 0.997, 0.475], [0.997, 0.691, 0.975], [0.812, 0.603, 0.083], [0.531, 0.884, 0.370], [0.469, 0.116, 0.630], [0.397, 0.188, 0.417], [0.116, 0.469, 0.130], [0.309, 0.003, 0.525], [0.603, 0.812, 0.583], [0.001, 0.939, 0.927], [0.446, 0.724, 0.480], [0.554, 0.276, 0.520], [0.735, 0.562, 0.696], [0.438, 0.265, 0.804], [0.205, 0.281, 0.568], [0.281, 0.205, 0.068], [0.265, 0.438, 0.304], [0.999, 0.061, 0.073], [0.929, 0.743, 0.168], [0.611, 0.061, 0.283], [0.071, 0.257, 0.832], [0.061, 0.999, 0.573], [0.795, 0.719, 0.432], [0.562, 0.735, 0.196], [0.257, 0.071, 0.332], [0.061, 0.611, 0.783], [0.389, 0.939, 0.717], [0.743, 0.929, 0.668], [0.939, 0.389, 0.217], [0.939, 0.001, 0.427], [0.276, 0.554, 0.020], [0.724, 0.446, 0.980], [0.719, 0.795, 0.932], [0.601, 0.399, 0.250], [0.644, 0.121, 0.020], [0.210, 0.790, 0.250], [0.121, 0.644, 0.520], [0.879, 0.356, 0.480], [0.399, 0.601, 0.750], [0.356, 0.879, 0.980], [0.790, 0.210, 0.750]]
}

=====

{
  "formula": "K3Ru",
  "functional": "GGA-PBE",
  "state": "optimized geometry",
  "sg": "No. 225",
  "ef_ev_per_atom": 1.050,
  "m_tot_mub_per_atom": 0.43,
  "lattice_angstrom": [[4.226, 1.340, 4.072], [-1.339, 3.556, 4.669], [-0.325, -2.313, 5.549]],
  "species": ["Ru", "K", "K", "K"],
  "frac_coords": [[0.000, 0.000, 0.000], [0.750, 0.750, 0.750], [0.500, 0.500, 0.500], [0.250, 0.250, 0.250]]
}

=====

{
  "formula": "K3Ru",
  "functional": "GGA-PBE",
  "state": "optimized geometry",
  "sg": "No. 139",
  "ef_ev_per_atom": 1.050,
  "m_tot_mub_per_atom": 0.43,
  "lattice_angstrom": [[-1.122, -5.855, 1.246], [-4.604, 1.306, 3.767], [0.192, 2.105, -5.712]],
  "species": ["K", "K", "K", "Ru"],
  "frac_coords": [[0.250, 0.750, 0.500], [0.500, 0.500, 0.000], [0.750, 0.250, 0.500], [0.000, 0.000, 0.000]]
}

=====

{
  "formula": "K2S5",
  "functional": "GGA-PBE",
  "state": "optimized geometry",
  "sg": "No. 19",
  "energy_corrected_mp2020_ev_per_atom": -4.16,
  "ef_ev_per_atom": -0.885,
  "m_tot_mub_per_atom": 0.00,
  "lattice_angstrom": [[6.817, 0.000, 0.000], [0.000, 8.732, 0.000], [0.000, 0.000, 14.530]],
  "species": ["S", "S", "S", "S", "S", "S", "S", "S", "S", "S", "S", "S", "S", "S", "S", "S", "S", "S", "S", "S", "K", "K", "K", "K", "K", "K", "K", "K"],
  "frac_coords": [[0.879, 0.836, 0.675], [0.415, 0.516, 0.220], [0.116, 0.145, 0.103], [0.085, 0.484, 0.720], [0.616, 0.355, 0.897], [0.645, 0.949, 0.570], [0.915, 0.984, 0.780], [0.145, 0.551, 0.430], [0.355, 0.449, 0.930], [0.848, 0.828, 0.108], [0.384, 0.855, 0.603], [0.884, 0.645, 0.397], [0.585, 0.016, 0.280], [0.621, 0.164, 0.175], [0.348, 0.672, 0.892], [0.152, 0.328, 0.392], [0.652, 0.172, 0.608], [0.855, 0.051, 0.070], [0.379, 0.664, 0.325], [0.121, 0.336, 0.825], [0.873, 0.667, 0.893], [0.948, 0.469, 0.194], [0.052, 0.969, 0.306], [0.627, 0.333, 0.393], [0.552, 0.531, 0.694], [0.127, 0.167, 0.607], [0.448, 0.031, 0.806], [0.373, 0.833, 0.107]]
}

=====

{
  "formula": "K2S",
  "functional": "GGA-PBE",
  "state": "optimized geometry",
  "sg": "No. 225",
  "energy_corrected_mp2020_ev_per_atom": -3.34,
  "ef_ev_per_atom": -1.223,
  "lattice_angstrom": [[-3.732, -3.732, 0.000], [-3.732, 0.000, -3.732], [0.000, -3.732, -3.732]],
  "species": ["S", "K", "K"],
  "frac_coords": [[0.000, 0.000, 0.000], [0.250, 0.250, 0.250], [0.750, 0.750, 0.750]]
}

=====

{
  "formula": "K2S5",
  "functional": "GGA-PBE",
  "state": "optimized geometry",
  "sg": "No. 19",
  "energy_corrected_mp2020_ev_per_atom": -4.22,
  "e_ij_max_c_m2": 0.117,
  "ef_ev_per_atom": -0.945,
  "lattice_angstrom": [[6.600, 0.000, 0.000], [0.000, 6.619, 0.000], [0.000, 0.000, 18.719]],
  "species": ["K", "K", "K", "K", "K", "K", "K", "K", "S", "S", "S", "S", "S", "S", "S", "S", "S", "S", "S", "S", "S", "S", "S", "S", "S", "S", "S", "S"],
  "frac_coords": [[0.326, 0.099, 0.240], [0.174, 0.901, 0.740], [0.058, 0.340, 0.428], [0.558, 0.160, 0.572], [0.442, 0.660, 0.928], [0.942, 0.840, 0.072], [0.826, 0.401, 0.760], [0.674, 0.599, 0.260], [0.335, 0.346, 0.793], [0.357, 0.496, 0.117], [0.857, 0.004, 0.883], [0.063, 0.207, 0.599], [0.838, 0.318, 0.113], [0.835, 0.154, 0.207], [0.056, 0.194, 0.937], [0.937, 0.707, 0.901], [0.444, 0.806, 0.437], [0.944, 0.694, 0.563], [0.563, 0.293, 0.401], [0.143, 0.504, 0.617], [0.643, 0.996, 0.383], [0.338, 0.182, 0.887], [0.662, 0.682, 0.613], [0.162, 0.818, 0.387], [0.556, 0.306, 0.063], [0.665, 0.846, 0.707], [0.437, 0.793, 0.099], [0.165, 0.654, 0.293]]
}